The following is a GGA+U calculation of a geometry-optimized Ba2Mg2Tl2Fe3O10 structure, from the Materials Project database.

abc: 3.928 3.966 18.037
angles: 95.90 95.36 90.71
Fractional coordinates of all 19 atoms:
O 0.371 0.159 0.996
O 0.237 0.163 0.447
O 0.642 0.118 0.156
O 0.924 0.717 0.004
O 0.404 0.931 0.837
O 0.779 0.711 0.554
O 0.138 0.611 0.161
O 0.688 0.699 0.317
O 0.331 0.370 0.684
O 0.911 0.424 0.846
Fe 0.410 0.436 0.840
Fe 0.434 0.645 0.000
Fe 0.636 0.621 0.160
Tl 0.730 0.825 0.437
Tl 0.280 0.384 0.565
Ba 0.849 0.891 0.719
Ba 0.179 0.189 0.283
Mg 0.956 0.001 0.912
Mg 0.086 0.105 0.091

***

The following is a GGA+U calculation of a geometry-optimized Ba2MgFeWO6 structure, from the Materials Project database.

- Distance to the lowest polymorph of the same formula: 0.207 eV per atom

abc: 6.894 6.219 6.870
angles: 89.19 126.31 117.62
Fractional coordinates of all 11 atoms:
W 0.147 0.076 0.926
Mg 0.807 0.901 0.096
O 0.483 0.241 0.268
O 0.986 0.254 0.269
O 0.973 0.734 0.761
O 0.459 0.730 0.743
O 0.974 0.244 0.756
O 0.986 0.729 0.272
Fe 0.015 0.505 0.491
Ba 0.543 0.267 0.725
Ba 0.366 0.684 0.317

***

The following is a GGA+U calculation of a geometry-optimized Ba2MgFeWO6 structure, from the Materials Project database.

- Distance to the lowest polymorph of the same formula: 0.000 eV per atom

abc: 6.582 6.576 6.066
angles: 90.27 117.56 125.09
Fractional coordinates of all 11 atoms:
Ba 0.596 0.206 0.793
Ba 0.453 0.769 0.231
W 0.019 0.988 0.012
O 0.042 0.746 0.255
O 0.007 0.223 0.775
O 0.024 0.750 0.784
O 0.030 0.222 0.248
O 0.490 0.215 0.249
O 0.560 0.752 0.779
Fe 0.843 0.579 0.421
Mg 0.169 0.411 0.588

***

The following is a GGA+U calculation of a geometry-optimized Ba2MgFeWO6 structure, from the Materials Project database.

- Distance to the lowest polymorph of the same formula: 0.053 eV per atom

abc: 6.782 6.740 6.781
angles: 74.48 130.27 128.68
Fractional coordinates of all 11 atoms:
O 0.999 0.190 0.192
O 0.488 0.734 0.748
O 0.003 0.811 0.808
O 0.013 0.266 0.753
O 0.986 0.734 0.247
O 0.512 0.266 0.252
W 0.000 0.000 0.000
Ba 0.501 0.186 0.686
Ba 0.500 0.815 0.315
Mg 0.500 0.500 0.000
Fe 0.000 0.499 0.500

***

The following is a GGA+U calculation of a geometry-optimized BaMn2Fe4O11 structure, from the Materials Project database.

abc: 5.889 5.889 13.618
angles: 89.98 89.98 119.87
Fractional coordinates of all 36 atoms:
Fe 0.334 0.667 0.731
Fe 0.667 0.334 0.231
Fe 0.499 0.998 0.000
Fe 0.998 0.499 0.500
Fe 0.006 0.003 0.356
Fe 0.003 0.006 0.856
Fe 0.994 0.997 0.645
Fe 0.997 0.994 0.145
O 0.185 0.835 0.422
O 0.825 0.648 0.924
O 0.815 0.165 0.579
O 0.350 0.184 0.922
O 0.850 0.699 0.252
O 0.326 0.651 0.923
O 0.165 0.815 0.079
O 0.673 0.347 0.078
O 0.849 0.151 0.249
O 0.301 0.151 0.246
O 0.815 0.651 0.578
O 0.699 0.850 0.752
O 0.648 0.825 0.424
O 0.651 0.326 0.423
O 0.353 0.177 0.577
O 0.651 0.815 0.078
O 0.835 0.185 0.922
O 0.177 0.353 0.077
O 0.184 0.350 0.422
O 0.347 0.673 0.578
O 0.151 0.849 0.749
O 0.151 0.301 0.746
Mn 0.501 0.499 0.500
Mn 0.499 0.501 0.000
Mn 0.003 0.501 0.000
Mn 0.501 0.003 0.500
Ba 0.667 0.333 0.752
Ba 0.333 0.667 0.252

***

The following is a GGA+U calculation of a geometry-optimized BaSr7MnFe7O20 structure, from the Materials Project database.

abc: 11.267 11.525 17.827
angles: 108.90 108.26 90.04
Fractional coordinates of all 144 atoms:
Sr 0.556 0.796 0.608
Sr 0.198 0.938 0.891
Sr 0.055 0.796 0.608
Sr 0.449 0.705 0.393
Sr 0.948 0.705 0.392
Sr 0.448 0.701 0.891
Sr 0.558 0.298 0.610
Sr 0.556 0.297 0.108
Sr 0.198 0.437 0.392
Sr 0.697 0.437 0.391
Sr 0.806 0.064 0.609
Sr 0.057 0.297 0.610
Sr 0.198 0.937 0.393
Sr 0.948 0.703 0.890
Sr 0.697 0.437 0.889
Sr 0.947 0.205 0.890
Sr 0.697 0.937 0.391
Sr 0.307 0.560 0.608
Sr 0.807 0.562 0.608
Sr 0.698 0.939 0.892
Sr 0.448 0.206 0.394
Sr 0.806 0.562 0.109
Sr 0.055 0.298 0.108
Sr 0.949 0.206 0.393
Sr 0.557 0.794 0.108
Sr 0.306 0.062 0.609
Sr 0.197 0.437 0.889
Sr 0.447 0.203 0.890
O 0.825 0.796 0.141
O 0.940 0.904 0.858
O 0.383 0.381 0.508
O 0.623 0.123 0.990
O 0.331 0.305 0.140
O 0.191 0.204 0.858
O 0.444 0.901 0.362
O 0.941 0.404 0.359
O 0.190 0.700 0.863
O 0.122 0.122 0.989
O 0.936 0.059 0.749
O 0.438 0.913 0.863
O 0.941 0.404 0.859
O 0.133 0.878 0.508
O 0.687 0.942 0.250
O 0.634 0.878 0.509
O 0.936 0.562 0.252
O 0.374 0.120 0.990
O 0.947 0.055 0.259
O 0.633 0.378 0.007
O 0.576 0.098 0.142
O 0.448 0.060 0.260
O 0.690 0.206 0.859
O 0.440 0.562 0.749
O 0.883 0.380 0.508
O 0.832 0.295 0.640
O 0.375 0.120 0.493
O 0.934 0.561 0.749
O 0.193 0.210 0.362
O 0.447 0.559 0.259
O 0.687 0.440 0.250
O 0.691 0.442 0.750
O 0.074 0.587 0.140
O 0.871 0.616 0.989
O 0.695 0.207 0.361
O 0.122 0.620 0.988
O 0.625 0.122 0.492
O 0.625 0.623 0.493
O 0.128 0.373 0.004
O 0.583 0.596 0.143
O 0.878 0.877 0.001
O 0.582 0.097 0.641
O 0.326 0.298 0.635
O 0.125 0.121 0.492
O 0.334 0.806 0.142
O 0.183 0.936 0.749
O 0.375 0.621 0.492
O 0.076 0.096 0.142
O 0.633 0.377 0.508
O 0.575 0.587 0.635
O 0.191 0.706 0.359
O 0.874 0.120 0.989
O 0.082 0.096 0.641
O 0.831 0.794 0.641
O 0.686 0.939 0.750
O 0.383 0.376 0.005
O 0.441 0.413 0.864
O 0.441 0.055 0.749
O 0.874 0.620 0.492
O 0.187 0.441 0.251
O 0.190 0.443 0.750
O 0.625 0.622 0.992
O 0.129 0.876 0.002
O 0.376 0.620 0.991
O 0.884 0.881 0.509
O 0.628 0.874 0.004
O 0.694 0.707 0.361
O 0.325 0.799 0.636
O 0.875 0.119 0.492
O 0.940 0.902 0.361
O 0.440 0.402 0.360
O 0.198 0.952 0.258
O 0.383 0.881 0.509
O 0.882 0.379 0.006
O 0.688 0.701 0.863
O 0.831 0.303 0.139
O 0.132 0.378 0.508
O 0.382 0.876 0.004
O 0.125 0.622 0.492
O 0.076 0.587 0.635
Fe 0.108 0.087 0.749
Fe 0.001 0.998 0.994
Fe 0.612 0.591 0.252
Fe 0.609 0.090 0.750
Fe 0.501 0.998 0.996
Fe 0.359 0.409 0.252
Fe 0.858 0.411 0.749
Fe 0.504 0.000 0.500
Fe 0.505 0.500 0.501
Fe 0.857 0.411 0.251
Fe 0.611 0.092 0.252
Fe 0.254 0.750 0.501
Fe 0.255 0.251 0.502
Fe 0.857 0.907 0.252
Fe 0.004 0.500 0.501
Fe 0.004 0.000 0.500
Fe 0.503 0.498 0.996
Fe 0.001 0.497 0.996
Fe 0.363 0.911 0.254
Fe 0.755 0.250 0.500
Fe 0.253 0.249 0.997
Fe 0.750 0.746 0.995
Fe 0.857 0.909 0.749
Fe 0.754 0.750 0.500
Fe 0.111 0.095 0.254
Fe 0.106 0.589 0.251
Fe 0.753 0.251 0.999
Fe 0.252 0.747 0.994
Ba 0.308 0.063 0.114
Ba 0.807 0.063 0.114
Ba 0.056 0.801 0.113
Ba 0.308 0.562 0.114
Mn 0.609 0.598 0.749
Mn 0.110 0.595 0.749
Mn 0.361 0.405 0.749
Mn 0.360 0.903 0.749

***

The following is a GGA+U calculation of a geometry-optimized BaSr7Mn2Fe6O20 structure, from the Materials Project database.

abc: 11.274 11.458 17.911
angles: 108.81 108.26 89.80
Fractional coordinates of all 144 atoms:
Fe 0.613 0.592 0.253
Fe 0.251 0.748 0.995
Fe 0.754 0.251 0.500
Fe 0.616 0.093 0.253
Fe 0.611 0.088 0.749
Fe 0.860 0.905 0.253
Fe 0.114 0.093 0.256
Fe 0.250 0.247 0.995
Fe 0.360 0.411 0.253
Fe 0.106 0.589 0.251
Fe 0.254 0.751 0.502
Fe 0.504 0.001 0.500
Fe 0.749 0.746 0.994
Fe 0.502 0.498 0.996
Fe 0.004 0.000 0.501
Fe 0.754 0.751 0.500
Fe 0.004 0.501 0.501
Fe 0.753 0.251 0.998
Fe 0.254 0.251 0.501
Fe 0.499 0.997 0.994
Fe 0.998 0.997 0.991
Fe 0.858 0.412 0.250
Fe 0.000 0.497 0.995
Fe 0.504 0.499 0.501
O 0.831 0.306 0.139
O 0.442 0.561 0.749
O 0.874 0.120 0.493
O 0.073 0.585 0.140
O 0.577 0.098 0.143
O 0.823 0.801 0.635
O 0.332 0.308 0.141
O 0.687 0.438 0.250
O 0.190 0.198 0.863
O 0.324 0.301 0.636
O 0.457 0.054 0.262
O 0.631 0.378 0.006
O 0.949 0.054 0.260
O 0.690 0.940 0.251
O 0.448 0.562 0.261
O 0.873 0.121 0.990
O 0.940 0.059 0.749
O 0.686 0.697 0.863
O 0.441 0.912 0.367
O 0.694 0.440 0.749
O 0.190 0.697 0.862
O 0.383 0.881 0.510
O 0.122 0.123 0.992
O 0.882 0.381 0.508
O 0.938 0.415 0.863
O 0.195 0.209 0.363
O 0.624 0.622 0.492
O 0.627 0.874 0.003
O 0.439 0.416 0.864
O 0.122 0.621 0.990
O 0.075 0.085 0.635
O 0.625 0.123 0.493
O 0.442 0.058 0.749
O 0.382 0.381 0.508
O 0.826 0.301 0.635
O 0.374 0.120 0.991
O 0.199 0.947 0.259
O 0.077 0.096 0.145
O 0.583 0.596 0.143
O 0.190 0.935 0.749
O 0.126 0.875 0.999
O 0.937 0.916 0.862
O 0.874 0.620 0.493
O 0.380 0.876 0.002
O 0.324 0.799 0.635
O 0.440 0.401 0.360
O 0.824 0.797 0.141
O 0.941 0.405 0.359
O 0.623 0.622 0.992
O 0.075 0.585 0.635
O 0.943 0.561 0.749
O 0.698 0.207 0.362
O 0.327 0.813 0.138
O 0.684 0.933 0.749
O 0.375 0.122 0.495
O 0.132 0.877 0.507
O 0.375 0.621 0.993
O 0.870 0.617 0.990
O 0.940 0.902 0.362
O 0.188 0.439 0.251
O 0.124 0.622 0.492
O 0.575 0.585 0.635
O 0.622 0.124 0.990
O 0.131 0.378 0.507
O 0.127 0.374 0.002
O 0.935 0.564 0.252
O 0.632 0.378 0.507
O 0.880 0.379 0.005
O 0.631 0.878 0.507
O 0.692 0.204 0.858
O 0.192 0.704 0.359
O 0.193 0.438 0.749
O 0.439 0.915 0.863
O 0.876 0.876 0.000
O 0.374 0.620 0.492
O 0.124 0.122 0.493
O 0.585 0.096 0.641
O 0.381 0.376 0.003
O 0.695 0.707 0.361
O 0.882 0.880 0.508
Sr 0.697 0.437 0.391
Sr 0.198 0.438 0.392
Sr 0.448 0.706 0.395
Sr 0.559 0.796 0.108
Sr 0.557 0.796 0.607
Sr 0.806 0.561 0.109
Sr 0.698 0.939 0.892
Sr 0.055 0.297 0.108
Sr 0.449 0.201 0.890
Sr 0.307 0.559 0.608
Sr 0.807 0.559 0.608
Sr 0.698 0.438 0.890
Sr 0.806 0.061 0.608
Sr 0.447 0.203 0.393
Sr 0.555 0.297 0.108
Sr 0.949 0.206 0.393
Sr 0.057 0.299 0.608
Sr 0.948 0.705 0.393
Sr 0.558 0.298 0.609
Sr 0.946 0.202 0.890
Sr 0.948 0.699 0.890
Sr 0.699 0.939 0.392
Sr 0.448 0.700 0.890
Sr 0.307 0.060 0.609
Sr 0.198 0.938 0.394
Sr 0.199 0.940 0.890
Sr 0.199 0.440 0.891
Sr 0.057 0.799 0.608
Ba 0.309 0.062 0.116
Ba 0.056 0.803 0.114
Ba 0.308 0.561 0.114
Ba 0.808 0.063 0.115
Mn 0.368 0.904 0.254
Mn 0.611 0.595 0.749
Mn 0.361 0.405 0.749
Mn 0.112 0.094 0.749
Mn 0.859 0.906 0.748
Mn 0.861 0.404 0.749
Mn 0.111 0.595 0.749
Mn 0.360 0.901 0.749

***

Number 1: energy of formation from the pure elements -3499 kJ/mol of formula units. Number 2: energy of formation from the pure elements -2291 kJ/mol of formula units. Number 3: energy of formation from the pure elements -2510 kJ/mol of formula units. Number 4: energy of formation from the pure elements -2454 kJ/mol of formula units. Number 5: energy of formation from the pure elements -3324 kJ/mol of formula units. Number 6: energy of formation from the pure elements -8227 kJ/mol of formula units. Number 7: energy of formation from the pure elements -8280 kJ/mol of formula units.